RbHgSbTe3: relaxed, PBE.

a b c (Å): 4.590 16.138 12.028
angles (deg): 90.00 90.00 90.00
Space group Cmc2_1 (No. 36)
Symmetry-distinct sites (fractional):
Rb1 0.000 0.250 0.000 [4 per cell]
Hg1 0.000 0.050 0.491 [4 per cell]
Sb1 0.000 0.489 0.735 [4 per cell]
Te1 0.000 0.123 0.706 [4 per cell]
Te2 0.000 0.136 0.287 [4 per cell]
Te3 0.000 0.434 0.504 [4 per cell]

Summary:
Volume, Å³/atom: 37.12

Rb6HgSe4: relaxed, PBE.

a b c (Å): 10.8959 10.8959 8.3824
angles (deg): 90.00 90.00 120.00
Space group P6_3mc (No. 186)
Symmetry-distinct sites (fractional):
Rb1 0.0548 0.5274 0.0000 [6 per cell]
Rb2 0.1488 0.2975 0.3268 [6 per cell]
Hg1 0.3333 0.6667 0.6220 [2 per cell]
Se1 0.1929 0.3857 0.7227 [6 per cell]
Se2 0.3333 0.6667 0.2872 [2 per cell]

Summary:
Volume, Å³/atom: 39.17

Rb4Sn20Hg3: relaxed, PBE.

a b c (Å): 12.466 12.466 12.466
angles (deg): 90.00 90.00 90.00
Space group Pm-3n (No. 223)
Symmetry-distinct sites (fractional):
Rb1 0.000 0.000 0.000 [2 per cell]
Rb2 0.000 0.250 0.500 [6 per cell]
Sn1 0.000 0.312 0.117 [24 per cell]
Sn2 0.183 0.183 0.183 [16 per cell]
Hg1 0.000 0.500 0.250 [6 per cell]

Summary:
Volume, Å³/atom: 35.87

HgSb4S8: relaxed, PBE.

a b c (Å): 22.301 4.014 30.767
angles (deg): 90.00 104.11 90.00
Space group C2/c (No. 15)
Symmetry-distinct sites (fractional):
Hg1 0.000 0.000 0.000 [4 per cell]
Hg2 0.000 0.497 0.250 [4 per cell]
Sb1 0.072 0.454 0.619 [8 per cell]
Sb2 0.073 0.049 0.369 [8 per cell]
Sb3 0.214 0.451 0.542 [8 per cell]
Sb4 0.215 0.081 0.292 [8 per cell]
S1 0.039 0.012 0.171 [8 per cell]
S2 0.039 0.489 0.921 [8 per cell]
S3 0.091 0.000 0.060 [8 per cell]
S4 0.091 0.497 0.810 [8 per cell]
S5 0.183 0.468 0.729 [8 per cell]
S6 0.184 0.009 0.478 [8 per cell]
S7 0.223 0.020 0.149 [8 per cell]
S8 0.224 0.491 0.399 [8 per cell]

Summary:
Volume, Å³/atom: 25.68

Hg2SeS: relaxed, PBE.

a b c (Å): 4.346 4.346 6.134
angles (deg): 90.00 90.00 90.00
Space group P-4m2 (No. 115)
Symmetry-distinct sites (fractional):
Hg1 0.000 0.500 0.238 [2 per cell]
Se1 0.000 0.000 0.500 [1 per cell]
S1 0.500 0.500 0.000 [1 per cell]

Summary:
Volume, Å³/atom: 28.97

SiHg4S6: relaxed, PBE.

a b c (Å): 12.669 7.278 12.680
angles (deg): 90.00 110.33 90.00
Space group Cc (No. 9)
Symmetry-distinct sites (fractional):
Si1 0.000 0.228 0.000 [4 per cell]
Hg1 0.063 0.059 0.755 [4 per cell]
Hg2 0.228 0.403 0.249 [4 per cell]
Hg3 0.248 0.118 0.561 [4 per cell]
Hg4 0.433 0.192 0.908 [4 per cell]
S1 0.120 0.238 0.369 [4 per cell]
S2 0.179 0.240 0.052 [4 per cell]
S3 0.243 0.246 0.749 [4 per cell]
S4 0.430 0.235 0.321 [4 per cell]
S5 0.431 0.489 0.048 [4 per cell]
S6 0.452 0.032 0.573 [4 per cell]

Summary:
Volume, Å³/atom: 24.92

TaHgS2: relaxed, PBE.

a b c (Å): 3.3794 3.3794 29.0984
angles (deg): 90.00 90.00 120.00
Space group R-3m (No. 166, hexagonal axes)
Symmetry-distinct sites (fractional):
Ta1 0.0000 0.0000 0.0000 [3 per cell]
Hg1 0.0000 0.0000 0.5000 [3 per cell]
S1 0.0000 0.0000 0.2806 [6 per cell]

Summary:
Volume, Å³/atom: 23.98

Tl2Hg3S4: relaxed, PBE.

a b c (Å): 12.141 6.764 13.653
angles (deg): 90.00 115.00 90.00
Space group C2/c (No. 15)
Symmetry-distinct sites (fractional):
Tl1 0.182 0.074 0.057 [8 per cell]
Hg1 0.000 0.124 0.250 [4 per cell]
Hg2 0.058 0.387 0.653 [8 per cell]
S1 0.082 0.349 0.423 [8 per cell]
S2 0.175 0.112 0.752 [8 per cell]

Summary:
Volume, Å³/atom: 28.23

Sc3Hg: relaxed, PBE.

a b c (Å): 6.3505 6.3505 5.2332
angles (deg): 90.00 90.00 120.00
Space group P6_3/mmc (No. 194)
Symmetry-distinct sites (fractional):
Sc1 0.1699 0.3397 0.2500 [6 per cell]
Hg1 0.3333 0.6667 0.7500 [2 per cell]

Summary:
Volume, Å³/atom: 22.85

Sc3Hg: relaxed, PBE.

a b c (Å): 4.478 4.478 4.478
angles (deg): 90.00 90.00 90.00
Space group Pm-3m (No. 221)
Symmetry-distinct sites (fractional):
Sc1 0.000 0.000 0.500 [3 per cell]
Hg1 0.500 0.500 0.500 [1 per cell]

Summary:
Volume, Å³/atom: 22.46

ScHg3: relaxed, PBE.

a b c (Å): 6.4919 6.4919 4.8971
angles (deg): 90.00 90.00 120.00
Space group P6_3/mmc (No. 194)
Symmetry-distinct sites (fractional):
Sc1 0.3333 0.6667 0.2500 [2 per cell]
Hg1 0.1696 0.3393 0.7500 [6 per cell]

Summary:
Volume, Å³/atom: 22.34

HgSe: relaxed, PBE.

a b c (Å): 6.274 6.274 6.274
angles (deg): 90.00 90.00 90.00
Space group F-43m (No. 216)
Symmetry-distinct sites (fractional):
Hg1 0.000 0.000 0.000 [4 per cell]
Se1 0.250 0.250 0.750 [4 per cell]

Summary:
Volume, Å³/atom: 30.87

HgSe: relaxed, PBE.

a b c (Å): 4.5588 4.5588 9.9419
angles (deg): 90.00 90.00 120.00
Space group P3_221 (No. 154)
Symmetry-distinct sites (fractional):
Hg1 0.0000 0.7264 0.3333 [3 per cell]
Se1 0.0000 0.4853 0.8333 [3 per cell]

Summary:
Volume, Å³/atom: 29.82

HgSe: relaxed, PBE.

a b c (Å): 5.809 5.809 5.809
angles (deg): 90.00 90.00 90.00
Space group Fm-3m (No. 225)
Symmetry-distinct sites (fractional):
Hg1 0.000 0.000 0.000 [4 per cell]
Se1 0.000 0.000 0.500 [4 per cell]

Summary:
Volume, Å³/atom: 24.51

Hg2TeSe: relaxed, PBE.

a b c (Å): 4.2256 4.2256 20.7182
angles (deg): 90.00 90.00 120.00
Space group R-3m (No. 166, hexagonal axes)
Symmetry-distinct sites (fractional):
Hg1 0.0000 0.0000 0.2453 [6 per cell]
Te1 0.0000 0.0000 0.0000 [3 per cell]
Se1 0.0000 0.0000 0.5000 [3 per cell]

Summary:
Energy relative to the lowest polymorph listed for this composition, meV/atom: 142
Volume, Å³/atom: 26.70

Hg2TeSe: relaxed, PBE.

a b c (Å): 4.5795 4.5795 22.3720
angles (deg): 90.00 90.00 120.00
Space group R3m (No. 160, hexagonal axes)
Symmetry-distinct sites (fractional):
Hg1 0.0000 0.0000 0.0000 [3 per cell]
Hg2 0.0000 0.0000 0.4915 [3 per cell]
Te1 0.0000 0.0000 0.8713 [3 per cell]
Se1 0.0000 0.0000 0.3707 [3 per cell]

Summary:
Energy relative to the lowest polymorph listed for this composition, meV/atom: 0
Volume, Å³/atom: 33.86

SiHg3: relaxed, PBE.

a b c (Å): 4.317 4.317 9.950
angles (deg): 90.00 90.00 90.00
Space group I4/mmm (No. 139)
Symmetry-distinct sites (fractional):
Si1 0.000 0.000 0.000 [2 per cell]
Hg1 0.000 0.000 0.500 [2 per cell]
Hg2 0.000 0.500 0.250 [4 per cell]

Summary:
Energy relative to the lowest polymorph listed for this composition, meV/atom: 3
Volume, Å³/atom: 23.17

SiHg3: relaxed, PBE.

a b c (Å): 6.9980 6.9980 4.5090
angles (deg): 90.00 90.00 120.00
Space group P6_3/mmc (No. 194)
Symmetry-distinct sites (fractional):
Si1 0.3333 0.6667 0.2500 [2 per cell]
Hg1 0.1763 0.3525 0.7500 [6 per cell]

Summary:
Energy relative to the lowest polymorph listed for this composition, meV/atom: 0
Volume, Å³/atom: 23.90

SmHg3: relaxed, PBE.

a b c (Å): 6.7728 6.7728 5.0483
angles (deg): 90.00 90.00 120.00
Space group P6_3/mmc (No. 194)
Symmetry-distinct sites (fractional):
Sm1 0.3333 0.6667 0.2500 [2 per cell]
Hg1 0.1646 0.3292 0.7500 [6 per cell]

Summary:
Volume, Å³/atom: 25.07

no.,energy (eV/atom)
1,-2.865
2,-2.806
3,-3.299
4,-4.052
5,-2.224
6,-3.124
7,-5.865
8,-2.670
9,-5.049
10,-5.043
11,-2.042
12,-2.106
13,-2.072
14,-1.954
15,-1.838
16,-1.981
17,-1.172
18,-1.175
19,-1.792